No. 1
DFT (PBE) results for crystalline Sc2Co3Si5 at its relaxed geometry.

```
data_Sc2Co3Si5
_cell_length_a 10.4740
_cell_length_b 11.2210
_cell_length_c 5.3472
_cell_angle_alpha 90.00
_cell_angle_beta 118.03
_cell_angle_gamma 90.00
_space_group_name_H-M_alt 'C 1 2/c 1'
_space_group_IT_number 15
loop_
_space_group_symop_operation_xyz
'x,y,z'
'-x,-y,-z'
'-x,y,-z+1/2'
'x,-y,z+1/2'
'x+1/2,y+1/2,z'
'-x+1/2,-y+1/2,-z'
'-x+1/2,y+1/2,-z+1/2'
'x+1/2,-y+1/2,z+1/2'
loop_
_atom_site_label
_atom_site_type_symbol
_atom_site_fract_x
_atom_site_fract_y
_atom_site_fract_z
_atom_site_occupancy
Sc1 Sc 0.2325 0.1387 0.2352 1
Co1 Co 0.0000 0.4971 0.7500 1
Co2 Co 0.0974 0.1399 0.6266 1
Si1 Si 0.0000 0.0133 0.2500 1
Si2 Si 0.0000 0.2728 0.2500 1
Si3 Si 0.0000 0.2894 0.7500 1
Si4 Si 0.1689 0.4034 0.1699 1
```

Computed properties:
* total moment: 0.0230 μB/atom
* DFT formation energy: -0.71 eV/atom
* crystal system: monoclinic


No. 2
DFT (PBE) results for crystalline Sc6Co16Si7 at its relaxed geometry.

```
data_Sc6Co16Si7
_cell_length_a 11.4102
_cell_length_b 11.4102
_cell_length_c 11.4102
_cell_angle_alpha 90.00
_cell_angle_beta 90.00
_cell_angle_gamma 90.00
_space_group_name_H-M_alt 'F m -3 m'
_space_group_IT_number 225
_space_group_name_Hall '-F 4 2 3'
loop_
_atom_site_label
_atom_site_type_symbol
_atom_site_fract_x
_atom_site_fract_y
_atom_site_fract_z
_atom_site_occupancy
Sc1 Sc 0.0000 0.0000 0.2128 1
Co1 Co 0.1204 0.1204 0.3796 1
Co2 Co 0.1736 0.1736 0.1736 1
Si1 Si 0.0000 0.0000 0.5000 1
Si2 Si 0.0000 0.2500 0.2500 1
```

Computed properties:
* total moment: 0.1938 μB/atom
* DFT formation energy: -0.63 eV/atom
* crystal system: cubic